Run a
LiCuPO4, optimized geometry, DFT PBE; magnetic moment = 6.0 μB per cell
1.0
6.901 3.984 3.084
-6.901 3.984 3.084
0.000 -7.969 3.084
Li Cu P O
6 6 6 24
Direct
0.010 0.789 0.201
0.201 0.010 0.789
0.317 0.489 0.714
0.489 0.714 0.317
0.714 0.317 0.489
0.789 0.201 0.010
0.050 0.632 0.823
0.126 0.522 0.355
0.355 0.126 0.522
0.522 0.355 0.126
0.632 0.823 0.050
0.823 0.050 0.632
0.163 0.375 0.978
0.375 0.978 0.163
0.466 0.869 0.685
0.685 0.466 0.869
0.869 0.685 0.466
0.978 0.163 0.375
0.188 0.246 0.495
0.194 0.507 0.885
0.244 0.898 0.958
0.246 0.495 0.188
0.263 0.938 0.271
0.271 0.263 0.938
0.327 0.668 0.610
0.363 0.988 0.664
0.495 0.188 0.246
0.507 0.885 0.194
0.576 0.582 0.879
0.582 0.879 0.576
0.595 0.947 0.891
0.610 0.327 0.668
0.664 0.363 0.988
0.668 0.610 0.327
0.879 0.576 0.582
0.885 0.194 0.507
0.891 0.595 0.947
0.898 0.958 0.244
0.938 0.271 0.263
0.947 0.891 0.595
0.958 0.244 0.898
0.988 0.664 0.363

Run b
LiCuPO4, optimized geometry, DFT PBE; magnetic moment = 4.0 μB per cell
1.0
7.748 0.000 0.000
0.000 8.530 0.000
0.000 0.000 4.885
Li Cu P O
4 4 4 16
Direct
0.012 0.194 0.000
0.488 0.694 0.500
0.512 0.306 0.000
0.988 0.806 0.500
0.158 0.546 0.023
0.342 0.046 0.523
0.658 0.954 0.023
0.842 0.454 0.523
0.243 0.925 0.055
0.257 0.425 0.555
0.743 0.575 0.055
0.757 0.075 0.555
0.068 0.408 0.690
0.139 0.953 0.324
0.190 0.786 0.881
0.235 0.080 0.887
0.265 0.580 0.387
0.310 0.286 0.381
0.361 0.453 0.824
0.432 0.908 0.190
0.568 0.092 0.690
0.639 0.547 0.324
0.690 0.714 0.881
0.735 0.420 0.887
0.765 0.920 0.387
0.810 0.214 0.381
0.861 0.047 0.824
0.932 0.592 0.190

Structures ranked by computed energy, the most stable listed first: run a, run b.

Run a
This record from Materials Project describes a relaxed Cu2S3O12 crystal. The functional is PBE.

```
Cu2S3O12
1.0
4.093 2.363 7.449
-4.093 2.363 7.449
0.000 -4.726 7.449
Cu S O
4 6 24
Direct
0.146 0.146 0.146
0.346 0.346 0.346
0.654 0.654 0.654
0.854 0.854 0.854
0.040 0.458 0.749
0.251 0.960 0.542
0.458 0.749 0.040
0.542 0.251 0.960
0.749 0.040 0.458
0.960 0.542 0.251
0.018 0.606 0.797
0.125 0.866 0.743
0.134 0.257 0.875
0.155 0.533 0.208
0.170 0.493 0.537
0.203 0.982 0.394
0.208 0.155 0.533
0.257 0.875 0.134
0.394 0.203 0.982
0.463 0.830 0.507
0.467 0.792 0.845
0.493 0.537 0.170
0.507 0.463 0.830
0.533 0.208 0.155
0.537 0.170 0.493
0.606 0.797 0.018
0.743 0.125 0.866
0.792 0.845 0.467
0.797 0.018 0.606
0.830 0.507 0.463
0.845 0.467 0.792
0.866 0.743 0.125
0.875 0.134 0.257
0.982 0.394 0.203
```

Run b
Cu2S3O12, optimized geometry, DFT PBE; magnetic moment = 20.0 μB per cell
1.0
8.411 0.000 0.000
0.000 8.491 0.000
0.000 0.000 24.011
Cu S O
16 24 96
Direct
0.003 0.100 0.064
0.003 0.400 0.564
0.007 0.200 0.320
0.007 0.300 0.820
0.493 0.700 0.320
0.493 0.800 0.820
0.497 0.600 0.064
0.497 0.900 0.564
0.503 0.100 0.436
0.503 0.400 0.936
0.507 0.200 0.180
0.507 0.300 0.680
0.993 0.700 0.180
0.993 0.800 0.680
0.997 0.600 0.436
0.997 0.900 0.936
0.143 0.553 0.299
0.143 0.947 0.799
0.147 0.241 0.446
0.147 0.259 0.946
0.198 0.089 0.617
0.198 0.411 0.117
0.302 0.589 0.617
0.302 0.911 0.117
0.353 0.741 0.446
0.353 0.759 0.946
0.357 0.053 0.299
0.357 0.447 0.799
0.643 0.553 0.201
0.643 0.947 0.701
0.647 0.241 0.054
0.647 0.259 0.554
0.698 0.089 0.883
0.698 0.411 0.383
0.802 0.589 0.883
0.802 0.911 0.383
0.853 0.741 0.054
0.853 0.759 0.554
0.857 0.053 0.201
0.857 0.447 0.701
0.056 0.108 0.464
0.056 0.392 0.964
0.084 0.105 0.972
0.084 0.395 0.472
0.085 0.105 0.779
0.085 0.395 0.279
0.085 0.592 0.355
0.085 0.908 0.855
0.087 0.675 0.259
0.087 0.825 0.759
0.091 0.186 0.581
0.091 0.314 0.081
0.097 0.001 0.657
0.097 0.499 0.157
0.142 0.231 0.884
0.142 0.269 0.384
0.179 0.043 0.297
0.179 0.457 0.797
0.181 0.732 0.463
0.181 0.768 0.963
0.190 0.685 0.649
0.190 0.815 0.149
0.219 0.019 0.077
0.219 0.481 0.577
0.281 0.519 0.077
0.281 0.981 0.577
0.310 0.185 0.649
0.310 0.315 0.149
0.319 0.232 0.463
0.319 0.268 0.963
0.321 0.543 0.297
0.321 0.957 0.797
0.358 0.731 0.884
0.358 0.769 0.384
0.403 0.501 0.657
0.403 0.999 0.157
0.409 0.686 0.581
0.409 0.814 0.081
0.413 0.175 0.259
0.413 0.325 0.759
0.415 0.092 0.355
0.415 0.408 0.855
0.415 0.605 0.779
0.415 0.895 0.279
0.416 0.605 0.972
0.416 0.895 0.472
0.444 0.608 0.464
0.444 0.892 0.964
0.556 0.108 0.036
0.556 0.392 0.536
0.584 0.105 0.528
0.584 0.395 0.028
0.585 0.105 0.721
0.585 0.395 0.221
0.585 0.592 0.145
0.585 0.908 0.645
0.587 0.675 0.241
0.587 0.825 0.741
0.591 0.186 0.919
0.591 0.314 0.419
0.597 0.001 0.843
0.597 0.499 0.343
0.642 0.231 0.616
0.642 0.269 0.116
0.679 0.043 0.203
0.679 0.457 0.703
0.681 0.732 0.037
0.681 0.768 0.537
0.690 0.685 0.851
0.690 0.815 0.351
0.719 0.019 0.423
0.719 0.481 0.923
0.781 0.519 0.423
0.781 0.981 0.923
0.810 0.185 0.851
0.810 0.315 0.351
0.819 0.232 0.037
0.819 0.268 0.537
0.821 0.543 0.203
0.821 0.957 0.703
0.858 0.731 0.616
0.858 0.769 0.116
0.903 0.501 0.843
0.903 0.999 0.343
0.909 0.686 0.919
0.909 0.814 0.419
0.913 0.175 0.241
0.913 0.325 0.741
0.915 0.092 0.145
0.915 0.408 0.645
0.915 0.605 0.721
0.915 0.895 0.221
0.916 0.605 0.528
0.916 0.895 0.028
0.944 0.608 0.036
0.944 0.892 0.536

Structures ranked by computed energy, the most stable listed first: run a, run b.

Run a
Zn3Co2C12N12, optimized geometry, DFT PBE; magnetic moment = 0.0 μB per cell
1.0
6.269 3.620 10.838
-6.269 3.620 10.838
0.000 -7.239 10.838
Zn Co C N
6 4 24 24
Direct
0.040 0.750 0.460
0.250 0.540 0.960
0.460 0.040 0.750
0.540 0.960 0.250
0.750 0.460 0.040
0.960 0.250 0.540
0.147 0.147 0.147
0.353 0.353 0.353
0.647 0.647 0.647
0.853 0.853 0.853
0.001 0.754 0.901
0.053 0.195 0.293
0.099 0.999 0.246
0.195 0.293 0.053
0.207 0.305 0.447
0.246 0.099 0.999
0.254 0.501 0.401
0.293 0.053 0.195
0.305 0.447 0.207
0.401 0.254 0.501
0.447 0.207 0.305
0.499 0.599 0.746
0.501 0.401 0.254
0.553 0.793 0.695
0.599 0.746 0.499
0.695 0.553 0.793
0.707 0.947 0.805
0.746 0.499 0.599
0.754 0.901 0.001
0.793 0.695 0.553
0.805 0.707 0.947
0.901 0.001 0.754
0.947 0.805 0.707
0.999 0.246 0.099
0.001 0.775 0.616
0.071 0.906 0.313
0.094 0.687 0.929
0.116 0.275 0.501
0.187 0.594 0.429
0.225 0.384 0.999
0.275 0.501 0.116
0.313 0.071 0.906
0.384 0.999 0.225
0.406 0.571 0.813
0.429 0.187 0.594
0.499 0.884 0.725
0.501 0.116 0.275
0.571 0.813 0.406
0.594 0.429 0.187
0.616 0.001 0.775
0.687 0.929 0.094
0.725 0.499 0.884
0.775 0.616 0.001
0.813 0.406 0.571
0.884 0.725 0.499
0.906 0.313 0.071
0.929 0.094 0.687
0.999 0.225 0.384

Run b
This record from Materials Project describes a relaxed Zn3Co2C12N12 crystal. The functional is PBE.

```
Zn3Co2C12N12
1.0
7.308 0.000 0.000
0.000 7.308 0.000
0.000 0.000 10.331
Zn Co C N
3 2 12 12
Direct
0.000 0.000 0.000
0.000 0.500 0.254
0.500 0.000 0.746
0.000 0.500 0.749
0.500 0.000 0.251
0.000 0.500 0.568
0.000 0.500 0.930
0.181 0.319 0.750
0.181 0.681 0.750
0.319 0.181 0.250
0.319 0.819 0.250
0.500 0.000 0.070
0.500 0.000 0.432
0.681 0.181 0.250
0.681 0.819 0.250
0.819 0.319 0.750
0.819 0.681 0.750
0.000 0.500 0.044
0.000 0.500 0.455
0.204 0.292 0.247
0.204 0.708 0.247
0.292 0.204 0.753
0.292 0.796 0.753
0.500 0.000 0.545
0.500 0.000 0.956
0.708 0.204 0.753
0.708 0.796 0.753
0.796 0.292 0.247
0.796 0.708 0.247
```

Structures ranked by computed energy, the most stable listed first: run a, run b.

Run a
CaCuP4Ru2O14, optimized geometry, DFT PBE; magnetic moment = 1.0 μB per cell
1.0
5.120 0.000 0.000
-1.929 6.558 0.000
-0.420 -0.670 8.548
Ca Cu P Ru O
1 1 4 2 14
Direct
0.000 0.000 0.000
0.528 0.782 0.640
0.174 0.010 0.379
0.543 0.123 0.889
0.562 0.420 0.446
0.963 0.523 0.981
0.054 0.281 0.668
0.552 0.761 0.184
0.037 0.532 0.811
0.086 0.020 0.547
0.190 0.544 0.106
0.316 0.214 0.842
0.344 0.239 0.338
0.356 0.868 0.363
0.390 0.493 0.573
0.435 0.953 0.000
0.681 0.588 0.340
0.705 0.048 0.760
0.774 0.660 0.007
0.775 0.326 0.510
0.778 0.285 0.002
0.935 0.972 0.253

Run b
CaCuP4Ru2O14, optimized geometry, DFT PBE; magnetic moment = 1.0 μB per cell
1.0
5.013 0.000 0.000
-1.668 6.551 0.000
-0.549 -0.462 8.659
Ca Cu P Ru O
1 1 4 2 14
Direct
0.000 0.000 0.000
0.912 0.695 0.255
0.342 0.627 0.445
0.538 0.154 0.805
0.930 0.535 0.907
0.954 0.234 0.360
0.440 0.381 0.131
0.939 0.888 0.622
0.066 0.723 0.821
0.112 0.401 0.969
0.131 0.164 0.237
0.132 0.766 0.451
0.171 0.399 0.476
0.289 0.116 0.691
0.429 0.631 0.276
0.475 0.133 0.979
0.574 0.675 0.570
0.698 0.390 0.788
0.740 0.020 0.783
0.754 0.350 0.290
0.767 0.615 0.037
0.812 0.058 0.453

Structures ranked by computed energy, the most stable listed first: run b, run a.